(1)
Material: YAlFe
Method: DFT, PBE
State: optimized geometry

Cell lengths 5.406, 5.395, 8.590 Å; angles 90.00, 90.00, 119.93 degrees
Fractional positions:
Y1 0.665 0.332 0.565
Y2 0.326 0.663 0.448
Y3 0.326 0.663 0.052
Y4 0.665 0.332 0.935
Al1 0.673 0.837 0.750
Al2 0.837 0.675 0.250
Al3 0.837 0.162 0.250
Al4 0.328 0.164 0.250
Fe1 0.015 0.008 0.513
Fe2 0.015 0.008 0.987
Fe3 0.157 0.323 0.750
Fe4 0.157 0.834 0.750

Results
- Final energy: -78.2 eV/cell
- ΔE_f: -0.290 eV/atom
- Space group: Amm2 (38)

=====

(2)
Material: YAlFe
Method: DFT, PBE
State: optimized geometry

Cell lengths 5.346, 5.346, 5.346 Å; angles 120.00, 118.01, 91.73 degrees
Fractional positions:
Y1 0.135 0.885 0.250
Y2 0.865 0.115 0.750
Al1 0.500 0.500 0.000
Al2 0.000 0.500 0.500
Fe1 0.500 0.500 0.500
Fe2 0.500 0.000 0.000

Results
- Final energy: -39.1 eV/cell
- ΔE_f: -0.297 eV/atom
- Space group: Imma (74)

=====

(3)
Material: Y2Al3Fe14
Method: DFT, PBE
State: optimized geometry

Cell lengths 8.210, 8.549, 8.549 Å; angles 119.99, 90.00, 90.00 degrees
Fractional positions:
Y1 0.750 0.000 0.000
Y2 0.250 0.000 0.000
Y3 0.250 0.667 0.333
Y4 0.750 0.333 0.667
Al1 0.500 0.500 0.000
Al2 0.500 0.500 0.500
Al3 0.500 0.000 0.500
Al4 0.000 0.500 0.000
Al5 0.000 0.500 0.500
Al6 0.000 0.000 0.500
Fe1 0.612 0.667 0.333
Fe2 0.388 0.333 0.667
Fe3 0.112 0.333 0.667
Fe4 0.888 0.667 0.333
Fe5 0.750 0.677 0.030
Fe6 0.750 0.353 0.323
Fe7 0.750 0.970 0.647
Fe8 0.750 0.353 0.030
Fe9 0.750 0.970 0.323
Fe10 0.750 0.677 0.647
Fe11 0.250 0.323 0.970
Fe12 0.250 0.647 0.677
Fe13 0.250 0.030 0.353
Fe14 0.250 0.647 0.970
Fe15 0.250 0.030 0.677
Fe16 0.250 0.323 0.353
Fe17 0.488 0.834 0.668
Fe18 0.488 0.834 0.166
Fe19 0.488 0.332 0.166
Fe20 0.512 0.166 0.332
Fe21 0.512 0.166 0.834
Fe22 0.512 0.668 0.834
Fe23 0.988 0.166 0.332
Fe24 0.988 0.166 0.834
Fe25 0.988 0.668 0.834
Fe26 0.012 0.834 0.668
Fe27 0.012 0.834 0.166
Fe28 0.012 0.332 0.166

Results
- Final energy: -290.1 eV/cell
- ΔE_f: -0.121 eV/atom
- Space group: P6_3/mmc (194)

=====

(4)
Material: YAl9Fe3
Method: DFT, PBE
State: optimized geometry

Cell lengths 5.049, 6.756, 6.749 Å; angles 98.27, 112.63, 68.06 degrees
Fractional positions:
Y1 0.000 0.000 0.000
Al1 0.730 0.775 0.214
Al2 0.270 0.225 0.786
Al3 0.495 0.775 0.786
Al4 0.505 0.225 0.214
Al5 0.663 0.353 0.663
Al6 0.337 0.647 0.337
Al7 0.983 0.353 0.337
Al8 0.017 0.647 0.663
Al9 0.500 0.000 0.500
Fe1 0.000 0.000 0.500
Fe2 0.500 0.500 0.000
Fe3 0.000 0.500 0.000

Results
- Final energy: -70.6 eV/cell
- ΔE_f: -0.389 eV/atom
- Space group: C2/m (12)

=====

(5)
Material: Zr3AlFe8
Method: DFT, PBE
State: optimized geometry

Cell lengths 8.529, 8.529, 8.529 Å; angles 33.54, 33.54, 33.54 degrees
Fractional positions:
Zr1 0.625 0.625 0.625
Zr2 0.004 0.004 0.004
Zr3 0.497 0.497 0.497
Al1 0.126 0.126 0.126
Fe1 0.564 0.063 0.564
Fe2 0.062 0.559 0.062
Fe3 0.063 0.564 0.564
Fe4 0.559 0.062 0.062
Fe5 0.812 0.812 0.812
Fe6 0.313 0.313 0.313
Fe7 0.564 0.564 0.063
Fe8 0.062 0.062 0.559

Results
- Final energy: -100.7 eV/cell
- ΔE_f: -0.292 eV/atom
- Space group: R3m (160)

=====

(6)
Material: ZrAlFe4
Method: DFT, PBE
State: optimized geometry

Cell lengths 4.786, 4.786, 4.786 Å; angles 60.00, 60.00, 60.00 degrees
Fractional positions:
Zr1 0.000 0.000 0.000
Al1 0.750 0.750 0.750
Fe1 0.376 0.376 0.376
Fe2 0.376 0.872 0.376
Fe3 0.872 0.376 0.376
Fe4 0.376 0.376 0.872

Results
- Final energy: -47.9 eV/cell
- ΔE_f: -0.290 eV/atom
- Space group: F-43m (216)

=====

(7)
Material: AlGa3
Method: DFT, PBE
State: optimized geometry

Cell lengths 5.289, 5.289, 5.289 Å; angles 135.12, 135.12, 65.35 degrees
Fractional positions:
Al1 0.000 0.000 0.000
Ga1 0.750 0.250 0.500
Ga2 0.250 0.750 0.500
Ga3 0.500 0.500 0.000

Results
- Final energy: -12.6 eV/cell
- ΔE_f: 0.045 eV/atom
- Space group: I4/mmm (139)

=====

(8)
Material: Al3Ga
Method: DFT, PBE
State: optimized geometry

Cell lengths 4.068, 4.068, 4.068 Å; angles 90.00, 90.00, 90.00 degrees
Fractional positions:
Al1 0.500 0.500 0.000
Al2 0.000 0.500 0.500
Al3 0.500 0.000 0.500
Ga1 0.000 0.000 0.000

Results
- Final energy: -14.1 eV/cell
- ΔE_f: 0.030 eV/atom
- Space group: Pm-3m (221)

=====

(9)
Material: GdAlGa
Method: DFT, PBE
State: optimized geometry

Cell lengths 4.450, 4.450, 3.714 Å; angles 90.00, 90.00, 120.00 degrees
Fractional positions:
Gd1 0.667 0.333 0.000
Al1 0.000 0.000 0.500
Ga1 0.333 0.667 0.500

Results
- Final energy: -22.6 eV/cell
- ΔE_f: -0.569 eV/atom
- Space group: P-6m2 (187)

=====

(10)
Material: Li2AlGaSi2H4O10
Method: DFT, PBE
State: optimized geometry

Cell lengths 5.053, 8.319, 10.605 Å; angles 90.06, 90.00, 90.00 degrees
Fractional positions:
Li1 0.243 0.687 0.186
Li2 0.743 0.313 0.814
Li3 0.741 0.179 0.312
Li4 0.241 0.821 0.688
Al1 0.248 0.081 0.156
Al2 0.748 0.919 0.844
Ga1 0.745 0.582 0.345
Ga2 0.245 0.418 0.655
Si1 0.749 0.875 0.143
Si2 0.249 0.125 0.857
Si3 0.248 0.370 0.354
Si4 0.748 0.630 0.646
H1 0.656 0.330 0.038
H2 0.156 0.670 0.962
H3 0.154 0.830 0.465
H4 0.654 0.170 0.535
H5 0.884 0.460 0.019
H6 0.384 0.540 0.981
H7 0.385 0.961 0.482
H8 0.885 0.039 0.518
O1 0.220 0.585 0.017
O2 0.720 0.415 0.983
O3 0.720 0.083 0.482
O4 0.220 0.917 0.518
O5 0.867 0.722 0.223
O6 0.367 0.278 0.777
O7 0.364 0.220 0.269
O8 0.864 0.780 0.731
O9 0.391 0.541 0.312
O10 0.891 0.459 0.688
O11 0.910 0.039 0.186
O12 0.410 0.961 0.814
O13 0.818 0.671 0.499
O14 0.318 0.329 0.501
O15 0.305 0.160 0.006
O16 0.805 0.840 0.994
O17 0.929 0.388 0.324
O18 0.429 0.612 0.676
O19 0.433 0.899 0.176
O20 0.933 0.101 0.824

Results
- Final energy: -254.0 eV/cell
- ΔE_f: -2.469 eV/atom
- Space group: P2_1 (4)

=====

(11)
Material: AlGaIr2
Method: DFT, PBE
State: optimized geometry

Cell lengths 4.296, 4.296, 4.296 Å; angles 60.00, 60.00, 60.00 degrees
Fractional positions:
Al1 0.500 0.500 0.500
Ga1 0.000 0.000 0.000
Ir1 0.250 0.250 0.250
Ir2 0.750 0.750 0.750

Results
- Final energy: -27.1 eV/cell
- ΔE_f: -0.663 eV/atom
- Space group: Fm-3m (225)

=====

(12)
Material: Mg17Al11Ga
Method: DFT, PBE
State: optimized geometry

Cell lengths 9.117, 9.117, 9.110 Å; angles 70.55, 70.55, 109.49 degrees
Fractional positions:
Mg1 0.000 0.000 0.655
Mg2 0.000 0.000 0.000
Mg3 0.656 0.656 0.343
Mg4 0.398 0.398 0.287
Mg5 0.683 0.683 0.714
Mg6 0.602 0.315 0.001
Mg7 0.713 0.398 0.602
Mg8 0.316 0.000 0.398
Mg9 0.345 0.000 0.000
Mg10 0.684 0.286 0.316
Mg11 0.000 0.602 0.684
Mg12 0.602 0.000 0.684
Mg13 0.286 0.684 0.316
Mg14 0.000 0.345 0.000
Mg15 0.000 0.316 0.398
Mg16 0.398 0.713 0.602
Mg17 0.315 0.602 0.001
Al1 0.186 0.186 0.180
Al2 0.815 0.633 0.000
Al3 0.367 0.182 0.633
Al4 0.000 0.815 0.367
Al5 0.185 0.819 0.815
Al6 0.000 0.633 0.186
Al7 0.633 0.000 0.186
Al8 0.819 0.185 0.815
Al9 0.815 0.000 0.367
Al10 0.182 0.367 0.633
Al11 0.633 0.815 0.000
Ga1 0.369 0.369 0.818

Results
- Final energy: -72.5 eV/cell
- ΔE_f: -0.036 eV/atom
- Space group: Cm (8)

=====

> The highest final energy belongs to which entry?

AlGa3